Material: SiNi2
Method: DFT, meta-GGA r2SCAN
State: relaxed

Summary:
energy of formation from the pure elements = -1.427 eV per formula unit
E_tot = -11.39 eV per atom
spin magnetization = 0.000 μB/f.u.

Lattice parameters (Å, degrees): 3.8726 3.8726 4.9162 90.00 90.00 120.00
Closest atoms and distances in Å follow each position.
Space group P6_3/mmc (No. 194)
Asymmetric unit:
Si 0.3333 0.6667 0.2500 [2 per cell]  5 Ni 2.24-2.46
Ni 0.0000 0.0000 0.0000 [2 per cell]  8 Ni 2.46-2.55, 6 Si 2.55
Ni 0.3333 0.6667 0.7500 [2 per cell]  5 Si 2.24-2.46